Version w
This record from Materials Project describes a geometry-optimized Co2SnO4 structure. The functional is PBE+U.

a = 6.1976 Å, b = 6.2207 Å, c = 25.2073 Å
α = 96.12°, β = 90.88°, γ = 119.01°
Sites, in units of the cell vectors:
Co1 0.0000 0.0000 0.0000
Co2 0.0534 0.1512 0.2282
Co3 0.0683 0.6618 0.7271
Co4 0.1419 0.3234 0.4504
Co5 0.2029 0.4014 0.5990
Co6 0.2625 0.0586 0.3226
Co7 0.2683 0.5617 0.8272
Co8 0.3338 0.7226 0.0556
Co9 0.3950 0.7985 0.2014
Co10 0.4679 0.4616 0.9273
Co11 0.4809 0.9663 0.4264
Co12 0.5375 0.1239 0.6559
Co13 0.6010 0.2003 0.8000
Co14 0.6659 0.3605 0.0274
Co15 0.6706 0.8647 0.5266
Co16 0.7445 0.5239 0.2530
Co17 0.7724 0.0590 0.3229
Co18 0.8643 0.2598 0.1274
Co19 0.8699 0.7631 0.6269
Co20 0.9366 0.9230 0.8555
Sn1 0.0684 0.1617 0.7272
Sn2 0.1758 0.8658 0.5270
Sn3 0.2655 0.5547 0.3223
Sn4 0.3633 0.2596 0.1276
Sn5 0.4679 0.9612 0.9274
Sn6 0.5685 0.6617 0.7271
Sn7 0.6709 0.3602 0.5274
Sn8 0.7919 0.5917 0.3940
Sn9 0.8635 0.7596 0.1270
Sn10 0.9683 0.4616 0.9274
O1 0.0101 0.0309 0.5725
O2 0.0128 0.5697 0.5731
O3 0.0197 0.0585 0.0806
O4 0.1253 0.2754 0.3723
O5 0.1264 0.7559 0.8795
O6 0.1266 0.2919 0.8795
O7 0.1446 0.7697 0.3756
O8 0.1909 0.9564 0.6794
O9 0.2031 0.4276 0.1747
O10 0.2038 0.9625 0.1741
O11 0.2244 0.4591 0.6799
O12 0.3123 0.6626 0.9732
O13 0.3322 0.6954 0.4797
O14 0.3326 0.1590 0.4794
O15 0.3428 0.1663 0.9734
O16 0.4012 0.3567 0.2789
O17 0.4083 0.8317 0.7733
O18 0.4106 0.3654 0.7735
O19 0.4186 0.8597 0.2823
O20 0.5162 0.0651 0.5739
O21 0.5223 0.0907 0.0796
O22 0.5215 0.5537 0.0795
O23 0.5483 0.5694 0.5726
O24 0.5906 0.7561 0.8794
O25 0.6040 0.2268 0.3746
O26 0.6063 0.7649 0.3757
O27 0.6238 0.2594 0.8805
O28 0.7092 0.4594 0.1720
O29 0.7271 0.9562 0.6793
O30 0.7277 0.4929 0.6793
O31 0.7357 0.9617 0.1735
O32 0.7998 0.1615 0.4804
O33 0.8078 0.6315 0.9735
O34 0.8098 0.1652 0.9738
O35 0.8260 0.6602 0.4778
O36 0.9127 0.8629 0.7731
O37 0.9273 0.3611 0.2796
O38 0.9288 0.8842 0.2798
O39 0.9439 0.3670 0.7733
O40 0.9880 0.5553 0.0795

**Crystal system**: triclinic
**Density**: 5.924 g cm⁻³
**Spin magnetization**: 0.857 μB per atom

=====

Version x
This record from Materials Project describes a geometry-optimized Co2SnO4 structure. The functional is PBE+U.

a = 6.1976 Å, b = 6.2207 Å, c = 25.2073 Å
α = 96.12°, β = 90.88°, γ = 119.01°
Sites, in units of the cell vectors:
Co1 0.0000 0.0000 0.0000
Co2 0.0085 0.0017 0.4956
Co3 0.0505 0.5366 0.4257
Co4 0.0996 0.7999 0.1000
Co5 0.1629 0.0680 0.7717
Co6 0.1974 0.5987 0.2002
Co7 0.2504 0.1387 0.6231
Co8 0.2958 0.3980 0.3001
Co9 0.3599 0.6659 0.9728
Co10 0.3842 0.1886 0.4009
Co11 0.4405 0.7336 0.8286
Co12 0.4989 0.0016 0.4953
Co13 0.5589 0.2656 0.1728
Co14 0.6135 0.8055 0.5992
Co15 0.6400 0.3330 0.0283
Co16 0.7029 0.6036 0.6994
Co17 0.7526 0.8627 0.3741
Co18 0.8019 0.4018 0.7997
Co19 0.8372 0.9326 0.2284
Co20 0.9002 0.2003 0.8998
Sn1 0.0995 0.2994 0.1001
Sn2 0.2078 0.6044 0.6997
Sn3 0.2955 0.8982 0.2997
Sn4 0.4003 0.2002 0.8999
Sn5 0.5021 0.4980 0.4951
Sn6 0.5998 0.7998 0.1002
Sn7 0.7024 0.0984 0.7002
Sn8 0.7946 0.3976 0.3004
Sn9 0.9002 0.7001 0.9000
Sn10 0.9569 0.4634 0.5667
O1 0.0009 0.7398 0.2523
O2 0.0016 0.2766 0.2524
O3 0.0705 0.5426 0.8521
O4 0.0961 0.5529 0.3448
O5 0.1034 0.0448 0.8526
O6 0.1211 0.0538 0.3462
O7 0.1940 0.3240 0.9460
O8 0.1960 0.8574 0.9463
O9 0.2066 0.3471 0.4524
O10 0.2080 0.8700 0.4526
O11 0.2701 0.1423 0.0522
O12 0.3022 0.6445 0.0533
O13 0.3119 0.1687 0.5450
O14 0.3279 0.6596 0.5484
O15 0.3932 0.9236 0.1463
O16 0.3950 0.4570 0.1465
O17 0.4114 0.4813 0.6525
O18 0.4122 0.9452 0.6522
O19 0.4675 0.7414 0.2522
O20 0.4981 0.2435 0.2533
O21 0.5013 0.7568 0.7466
O22 0.5346 0.2623 0.7454
O23 0.5873 0.5185 0.3475
O24 0.5887 0.0540 0.3469
O25 0.6074 0.0792 0.8521
O26 0.6067 0.5425 0.8521
O27 0.6813 0.3434 0.4516
O28 0.6952 0.8429 0.4551
O29 0.6986 0.3554 0.9458
O30 0.7295 0.8593 0.9460
O31 0.7883 0.1178 0.5474
O32 0.7896 0.6548 0.5484
O33 0.8059 0.1420 0.0522
O34 0.8061 0.6780 0.0522
O35 0.8784 0.9467 0.6532
O36 0.8981 0.9550 0.1459
O37 0.9071 0.4479 0.6506
O38 0.9283 0.4585 0.1462
O39 0.9965 0.7240 0.7453
O40 0.9987 0.2622 0.7458

**Crystal system**: triclinic
**Density**: 5.924 g cm⁻³
**Spin magnetization**: 0.030 μB per atom

=====

Short version: version x is the least stable of them.